An optimized crystal structure of GdP5, computed with r²SCAN.

Cell lengths 4.9845, 9.4560, 5.3883 Å; angles 90.00, 102.35, 90.00 degrees
Last column: nearest neighbours and their distance in Å.
Space group P2_1/m (No. 11)
One atom of each set of equivalent atoms:
Gd 0.0060 0.2500 0.3501  8 P 2.97-3.05
P 0.2859 0.2500 0.8995  2 P 2.20
P 0.2905 0.5297 0.4023  2 P 2.15-2.20
P 0.3847 0.5912 0.0455  3 P 2.15-2.20

Results
E = -15.356 eV per atom
ΔH_f (0 K) = -0.622 eV/atom

***

An optimized crystal structure of Gd5P12Ru19, computed with r²SCAN.

Cell lengths 12.4788, 12.4788, 3.9784 Å; angles 90.00, 90.00, 120.00 degrees
Last column: nearest neighbours and their distance in Å.
Space group P-62m (No. 189)
One atom of each set of equivalent atoms:
Gd 0.0000 0.8166 0.0000  10 Ru 3.03-3.36, 6 P 3.04-3.09
Gd 0.3333 0.6667 0.5000  6 P 2.98, 9 Ru 3.12-3.13
P 0.0000 0.1861 0.5000  5 Ru 2.32-2.35
P 0.0000 0.6266 0.5000  7 Ru 2.26-2.51
P 0.1716 0.4767 0.0000  5 Ru 2.29-2.39
Ru 0.0000 0.0000 0.5000  3 P 2.32
Ru 0.0000 0.2838 0.0000  4 P 2.29-2.33
Ru 0.0000 0.4457 0.5000  1 P 2.26
Ru 0.1253 0.6330 0.0000  4 P 2.29-2.51
Ru 0.1850 0.3777 0.5000  4 P 2.35-2.39

Results
E = -23.354 eV per atom
ΔH_f (0 K) = -0.907 eV/atom

***

An optimized crystal structure of GdPS4, computed with r²SCAN.

Cell lengths 10.8006, 10.8006, 19.1571 Å; angles 90.00, 90.00, 90.00 degrees
Last column: nearest neighbours and their distance in Å.
Space group I4_1/acd (No. 142, origin choice 2)
One atom of each set of equivalent atoms:
Gd 0.0000 0.2500 0.1250  8 S 2.92-2.93
Gd 0.0000 0.2500 0.3750  8 S 2.85-3.02
P 0.0376 0.0000 0.2500  4 S 2.03
S 0.0667 0.0036 0.8382  1 P 2.03
S 0.0901 0.1132 0.0030  1 P 2.03

Results
E = -15.300 eV per atom
ΔH_f (0 K) = -1.210 eV/atom

***

An optimized crystal structure of GdPaRu2, computed with r²SCAN.

Cell lengths 6.8494, 6.8494, 6.8494 Å; angles 90.00, 90.00, 90.00 degrees
Last column: nearest neighbours and their distance in Å.
Space group Fm-3m (No. 225)
One atom of each set of equivalent atoms:
Gd 0.0000 0.0000 0.0000  8 Ru 2.97
Pa 0.0000 0.0000 0.5000  8 Ru 2.97
Ru 0.2500 0.2500 0.2500  4 Gd 2.97, 4 Pa 2.97

Results
E = -43.126 eV per atom
ΔH_f (0 K) = -0.351 eV/atom

***

An optimized crystal structure of GdPaTc2, computed with r²SCAN.

Cell lengths 6.8556, 6.8556, 6.8556 Å; angles 90.00, 90.00, 90.00 degrees
Last column: nearest neighbours and their distance in Å.
Space group Fm-3m (No. 225)
One atom of each set of equivalent atoms:
Gd 0.0000 0.0000 0.0000  8 Tc 2.97
Pa 0.0000 0.0000 0.5000  8 Tc 2.97
Tc 0.2500 0.2500 0.2500  4 Gd 2.97, 4 Pa 2.97

Results
E = -43.113 eV per atom
ΔH_f (0 K) = -0.067 eV/atom

***

An optimized crystal structure of Gd5Pb3, computed with r²SCAN.

Cell lengths 9.1906, 9.1906, 6.6484 Å; angles 90.00, 90.00, 120.00 degrees
Last column: nearest neighbours and their distance in Å.
Space group P6_3/mcm (No. 193)
One atom of each set of equivalent atoms:
Gd 0.0000 0.2393 0.2500  3 Pb 3.14-3.40
Gd 0.3333 0.6667 0.0000  6 Pb 3.29, 2 Gd 3.32
Pb 0.0000 0.3913 0.7500  7 Gd 3.14-3.40

Results
E = -48.878 eV per atom
ΔH_f (0 K) = -0.648 eV/atom

***

An optimized crystal structure of GdPb3, computed with r²SCAN.

Cell lengths 4.8699, 4.8699, 4.8699 Å; angles 90.00, 90.00, 90.00 degrees
Last column: nearest neighbours and their distance in Å.
Space group Pm-3m (No. 221)
One atom of each set of equivalent atoms:
Gd 0.0000 0.0000 0.0000  12 Pb 3.44
Pb 0.0000 0.5000 0.5000  4 Gd 3.44, 8 Pb 3.44

Results
E = -53.440 eV per atom
ΔH_f (0 K) = -0.377 eV/atom

***

An optimized crystal structure of GdPd3, computed with r²SCAN.

Cell lengths 4.1197, 4.1197, 4.1197 Å; angles 90.00, 90.00, 90.00 degrees
Last column: nearest neighbours and their distance in Å.
Space group Pm-3m (No. 221)
One atom of each set of equivalent atoms:
Gd 0.0000 0.0000 0.0000  12 Pd 2.91
Pd 0.0000 0.5000 0.5000  4 Gd 2.91, 8 Pd 2.91

Results
E = -28.918 eV per atom
ΔH_f (0 K) = -0.848 eV/atom

***

An optimized crystal structure of GdSbPd, computed with r²SCAN.

Cell lengths 4.5926, 4.5926, 7.5252 Å; angles 90.00, 90.00, 120.00 degrees
Last column: nearest neighbours and their distance in Å.
Space group P6_3mc (No. 186)
One atom of each set of equivalent atoms:
Gd 0.0000 0.0000 0.0000  3 Pd 2.96, 3 Sb 3.15
Sb 0.3333 0.6667 0.2265  4 Pd 2.75-3.02
Pd 0.3333 0.6667 0.8250  4 Sb 2.75-3.02, 3 Gd 2.96

Results
E = -31.840 eV per atom
ΔH_f (0 K) = -1.152 eV/atom

***

An optimized crystal structure of GdSi2Pd2, computed with r²SCAN.

Cell lengths 4.1576, 4.1576, 9.9439 Å; angles 90.00, 90.00, 90.00 degrees
Last column: nearest neighbours and their distance in Å.
Space group I4/mmm (No. 139)
One atom of each set of equivalent atoms:
Gd 0.0000 0.0000 0.0000  8 Si 3.16, 8 Pd 3.24
Si 0.0000 0.0000 0.3826  1 Si 2.34, 4 Pd 2.46
Pd 0.0000 0.5000 0.2500  4 Si 2.46

Results
E = -22.325 eV per atom
ΔH_f (0 K) = -0.952 eV/atom

***

An optimized crystal structure of GdSnPd2, computed with r²SCAN.

Cell lengths 6.8008, 6.8008, 6.8008 Å; angles 90.00, 90.00, 90.00 degrees
Last column: nearest neighbours and their distance in Å.
Space group Fm-3m (No. 225)
One atom of each set of equivalent atoms:
Gd 0.0000 0.0000 0.0000  8 Pd 2.94
Sn 0.0000 0.0000 0.5000  8 Pd 2.94
Pd 0.2500 0.2500 0.2500  4 Gd 2.94, 4 Sn 2.94

Results
E = -29.342 eV per atom
ΔH_f (0 K) = -0.826 eV/atom

***

An optimized crystal structure of PrGdZn2, computed with r²SCAN.

Cell lengths 3.6369, 3.6369, 7.3132 Å; angles 90.00, 90.00, 90.00 degrees
Last column: nearest neighbours and their distance in Å.
Space group P4/mmm (No. 123)
One atom of each set of equivalent atoms:
Pr 0.0000 0.0000 0.0000  8 Zn 3.22
Gd 0.0000 0.0000 0.5000  8 Zn 3.10
Zn 0.5000 0.5000 0.2644  4 Gd 3.10, 4 Pr 3.22, 1 Zn 3.45

Results
E = -22.980 eV per atom
ΔH_f (0 K) = -0.325 eV/atom